No. 1
The following is a DFT calculation (PBE) of a relaxed structure of HfThTc2.

Cell and atoms, written as POSCAR:
```
HfThTc2
1.0
0.0000 3.4069 3.4069
3.4069 0.0000 3.4069
3.4069 3.4069 0.0000
Hf Th Tc
1 1 2
Cartesian
0.0000 0.0000 0.0000
3.4069 3.4069 3.4069
1.7034 1.7034 1.7034
5.1103 5.1103 5.1103
```

raw total energy	-9.773	eV per atom
SG	Fm-3m, No. 225
calculated density	12.73	Mg/m³

No. 2
The following is a DFT calculation (PBE) of a relaxed structure of HfTc2W.

Cell and atoms, written as POSCAR:
```
HfTc2W
1.0
0.0000 3.1917 3.1917
3.1917 0.0000 3.1917
3.1917 3.1917 0.0000
Hf Tc W
1 2 1
Cartesian
0.0000 0.0000 0.0000
1.5959 1.5959 1.5959
4.7876 4.7876 4.7876
3.1917 3.1917 3.1917
```

raw total energy	-11.257	eV per atom
SG	Fm-3m, No. 225
calculated density	14.26	Mg/m³

No. 3
The following is a DFT calculation (PBE) of a relaxed structure of Hf2Te.

Cell and atoms, written as POSCAR:
```
Hf2Te
1.0
7.6188 -1.8784 0.0000
7.6188 1.8784 0.0000
-0.0436 0.0000 10.1284
Hf Te
8 4
Cartesian
1.2855 0.0000 4.2482
3.3230 0.0000 1.2896
3.8596 0.0000 6.2548
6.1924 0.0000 3.5208
9.0016 0.0000 6.6076
11.3344 0.0000 3.8736
11.8710 0.0000 8.8388
13.9084 0.0000 5.8801
2.0195 0.0000 8.7823
6.3810 0.0000 8.1573
8.8130 0.0000 1.9711
13.1744 0.0000 1.3461
```

raw total energy	-8.181	eV per atom
SG	C2/m, No. 12
calculated density	11.10	Mg/m³

No. 4
The following is a DFT calculation (PBE) of a relaxed structure of HfTe5.

Cell and atoms, written as POSCAR:
```
HfTe5
1.0
2.0153 -7.9271 0.0000
2.0153 7.9271 0.0000
0.0000 0.0000 13.8396
Hf Te
2 10
Cartesian
2.0153 4.9500 10.3797
2.0153 -4.9500 3.4599
2.0153 5.1936 3.4599
2.0153 3.3891 7.8383
2.0153 3.3891 12.9211
2.0153 1.3148 2.0697
2.0153 1.3148 4.8501
2.0153 -1.3148 8.9895
2.0153 -1.3148 11.7699
2.0153 -3.3891 0.9185
2.0153 -3.3891 6.0013
2.0153 -5.1936 10.3797
```

raw total energy	-4.744	eV per atom
SG	Cmcm, No. 63
calculated density	6.13	Mg/m³

No. 5
The following is a DFT calculation (PBE) of a relaxed structure of Hf5Te4.

Cell and atoms, written as POSCAR:
```
Hf5Te4
1.0
-5.3842 5.3842 1.8916
5.3842 -5.3842 1.8916
5.3842 5.3842 -1.8916
Hf Te
5 4
Cartesian
0.0000 0.0000 0.0000
6.7999 3.3449 0.0000
3.3449 3.9685 0.0000
2.0393 1.4157 1.8916
-1.4157 2.0393 1.8916
7.6931 0.5586 0.0000
0.5586 3.0754 0.0000
4.8256 2.3088 1.8916
-2.3088 4.8256 1.8916
```

raw total energy	-7.583	eV per atom
SG	I4/m, No. 87
calculated density	10.62	Mg/m³

No. 6
The following is a DFT calculation (PBE) of a relaxed structure of Hf3Te2.

Cell and atoms, written as POSCAR:
```
Hf3Te2
1.0
-1.8550 1.8550 9.5807
1.8550 -1.8550 9.5807
1.8550 1.8550 -9.5807
Hf Te
3 2
Cartesian
0.0000 0.0000 0.0000
0.0000 0.0000 7.8825
0.0000 0.0000 11.2789
0.0000 0.0000 3.0434
0.0000 0.0000 16.1180
```

raw total energy	-7.829	eV per atom
SG	I4/mmm, No. 139
calculated density	9.96	Mg/m³

No. 7
The following is a DFT calculation (PBE) of a relaxed structure of Hf2Te3.

Cell and atoms, written as POSCAR:
```
Hf2Te3
1.0
3.4962 2.0185 6.6650
-3.4962 2.0185 6.6650
0.0000 -4.0371 6.6650
Hf Te
4 6
Cartesian
0.0000 0.0000 0.0000
0.0000 0.0000 3.2019
0.0000 0.0000 9.9975
0.0000 0.0000 16.7931
-2.2960 -0.0947 8.2394
-1.0660 -2.0357 11.7555
1.2300 -1.9410 8.2394
-1.2300 1.9410 11.7555
1.0660 2.0357 8.2394
2.2960 0.0947 11.7555
```

raw total energy	-6.632	eV per atom
SG	R-3, No. 148
calculated density	8.71	Mg/m³

No. 8
The following is a DFT calculation (PBE) of a relaxed structure of Hf3TiTe20.

Cell and atoms, written as POSCAR:
```
Hf3TiTe20
1.0
27.4635 0.0000 0.0000
0.0000 2.0026 7.5454
0.0000 -2.0026 7.5454
Hf Ti Te
3 1 20
Cartesian
0.0000 0.0000 0.0000
6.8745 0.0000 5.5698
20.5890 0.0000 5.5698
13.7318 0.0000 0.0033
0.0000 0.0000 5.3086
1.3891 0.0000 9.2089
2.5213 0.0000 13.5201
4.3489 0.0000 7.1381
5.4815 0.0000 11.4525
6.8681 0.0000 0.2575
8.2597 0.0000 11.4500
9.4058 0.0000 7.1388
11.2778 0.0000 13.5638
12.3644 0.0000 9.1251
13.7318 0.0000 5.3994
15.0991 0.0000 9.1251
16.1857 0.0000 13.5638
18.0577 0.0000 7.1388
19.2039 0.0000 11.4500
20.5954 0.0000 0.2575
21.9821 0.0000 11.4525
23.1147 0.0000 7.1381
24.9422 0.0000 13.5201
26.0745 0.0000 9.2089
```

raw total energy	-4.616	eV per atom
SG	Amm2, No. 38
calculated density	6.27	Mg/m³

No. 9
The following is a DFT calculation (PBE) of a relaxed structure of Hf3Th.

Cell and atoms, written as POSCAR:
```
Hf3Th
1.0
6.6529 0.0000 0.0000
-3.3265 5.7616 0.0000
0.0000 0.0000 5.2735
Hf Th
6 2
Cartesian
0.0000 1.7893 1.3184
-1.7768 4.8669 1.3184
1.5496 0.8947 3.9552
1.7768 4.8669 1.3184
5.1033 0.8947 3.9552
3.3265 3.9722 3.9552
0.0000 3.8411 3.9552
3.3265 1.9205 1.3184
```

raw total energy	-9.194	eV per atom
SG	P6_3/mmc, No. 194
calculated density	12.61	Mg/m³

No. 10
The following is a DFT calculation (PBE) of a relaxed structure of HfTi.

Cell and atoms, written as POSCAR:
```
HfTi
1.0
3.0911 0.0000 0.0000
-1.5456 2.6770 0.0000
0.0000 0.0000 4.8534
Hf Ti
1 1
Cartesian
0.0000 0.0000 0.0000
1.5456 0.8923 2.4267
```

raw total energy	-8.872	eV per atom
SG	P-6m2, No. 187
calculated density	9.36	Mg/m³

No. 11
The following is a DFT calculation (PBE) of a relaxed structure of HfTiW4.

Cell and atoms, written as POSCAR:
```
HfTiW4
1.0
0.0000 3.7808 3.7808
3.7808 0.0000 3.7808
3.7808 3.7808 0.0000
Hf Ti W
1 1 4
Cartesian
0.0000 0.0000 0.0000
1.8904 1.8904 1.8904
4.7257 2.8359 2.8359
2.8359 4.7257 2.8359
2.8359 2.8359 4.7257
4.7257 4.7257 4.7257
```

raw total energy	-11.679	eV per atom
SG	F-43m, No. 216
calculated density	14.77	Mg/m³

No. 12
The following is a DFT calculation (PBE) of a relaxed structure of HfTiZn2.

Cell and atoms, written as POSCAR:
```
HfTiZn2
1.0
0.0000 3.2310 3.2310
3.2310 0.0000 3.2310
3.2310 3.2310 0.0000
Hf Ti Zn
1 1 2
Cartesian
0.0000 0.0000 0.0000
3.2310 3.2310 3.2310
1.6155 1.6155 1.6155
4.8465 4.8465 4.8465
```

raw total energy	-5.278	eV per atom
SG	Fm-3m, No. 225
calculated density	8.79	Mg/m³